[1]
VASP calculation (GGA-PBE) on crystalline Hf9Mo4P at its relaxed geometry.

Structure (POSCAR):
```
Hf9Mo4P
1.0
8.6402 0.0000 0.0000
-4.3201 7.4827 0.0000
0.0000 0.0000 8.6313
Hf Mo P
18 8 2
direct
0.0782 0.5391 0.2500 Hf
0.1979 0.3958 0.5467 Hf
0.1979 0.3958 0.9533 Hf
0.1979 0.8021 0.5467 Hf
0.1979 0.8021 0.9533 Hf
0.3958 0.1979 0.0467 Hf
0.3958 0.1979 0.4533 Hf
0.4609 0.5391 0.2500 Hf
0.4609 0.9218 0.2500 Hf
0.5391 0.0782 0.7500 Hf
0.5391 0.4609 0.7500 Hf
0.6042 0.8021 0.5467 Hf
0.6042 0.8021 0.9533 Hf
0.8021 0.1979 0.0467 Hf
0.8021 0.1979 0.4533 Hf
0.8021 0.6042 0.0467 Hf
0.8021 0.6042 0.4533 Hf
0.9218 0.4609 0.7500 Hf
0.0000 0.0000 0.0000 Mo
0.0000 0.0000 0.5000 Mo
0.1106 0.2212 0.2500 Mo
0.1106 0.8894 0.2500 Mo
0.2212 0.1106 0.7500 Mo
0.7788 0.8894 0.2500 Mo
0.8894 0.1106 0.7500 Mo
0.8894 0.7788 0.7500 Mo
0.3333 0.6667 0.7500 P
0.6667 0.3333 0.2500 P
```

## Properties
- total magnetization (μB/f.u.) = 0.0
- space group = P6_3/mmc
- electronic total energy (eV per atom) = -10.19
- formation energy from the elements (kJ/mol of formula units) = -413

[2]
VASP calculation (GGA-PBE) on crystalline Hf8Mo5S at its relaxed geometry.

Structure (POSCAR):
```
Hf8Mo5S
1.0
8.4654 0.0000 0.0000
0.0000 4.5560 7.0826
0.0000 -4.5560 7.0826
Hf Mo S
16 10 2
direct
0.0000 0.0592 0.6970 Hf
0.0000 0.0625 0.0625 Hf
0.0000 0.6970 0.0592 Hf
0.1993 0.3966 0.3966 Hf
0.2034 0.4193 0.9979 Hf
0.2034 0.9979 0.4193 Hf
0.3095 0.2127 0.7873 Hf
0.3095 0.7873 0.2127 Hf
0.3105 0.8083 0.8083 Hf
0.5000 0.1668 0.1668 Hf
0.6905 0.2127 0.7873 Hf
0.6905 0.7873 0.2127 Hf
0.6895 0.8083 0.8083 Hf
0.7966 0.4193 0.9979 Hf
0.7966 0.9979 0.4193 Hf
0.8007 0.3966 0.3966 Hf
0.0000 0.3828 0.7105 Mo
0.0000 0.7105 0.3828 Mo
0.0000 0.7155 0.7155 Mo
0.2520 0.6030 0.6030 Mo
0.5000 0.1548 0.5017 Mo
0.5000 0.4839 0.4839 Mo
0.5000 0.5003 0.8233 Mo
0.5000 0.5017 0.1548 Mo
0.5000 0.8233 0.5003 Mo
0.7480 0.6030 0.6030 Mo
0.0000 0.2507 0.2507 S
0.5000 0.9642 0.9642 S
```

## Properties
- total magnetization (μB/f.u.) = 0.0
- space group = Amm2
- electronic total energy (eV per atom) = -10.09
- formation energy from the elements (kJ/mol of formula units) = -366

[3]
VASP calculation (GGA-PBE) on crystalline Hf9Mo4Se at its relaxed geometry.

Structure (POSCAR):
```
Hf9Mo4Se
1.0
8.7360 0.0000 0.0000
-4.3680 7.5656 0.0000
0.0000 0.0000 8.6312
Hf Mo Se
18 8 2
direct
0.0815 0.5407 0.2500 Hf
0.1950 0.3900 0.5448 Hf
0.1950 0.3900 0.9552 Hf
0.1950 0.8050 0.5448 Hf
0.1950 0.8050 0.9552 Hf
0.3900 0.1950 0.0448 Hf
0.3900 0.1950 0.4552 Hf
0.4593 0.5407 0.2500 Hf
0.4593 0.9185 0.2500 Hf
0.5407 0.0815 0.7500 Hf
0.5407 0.4593 0.7500 Hf
0.6100 0.8050 0.5448 Hf
0.6100 0.8050 0.9552 Hf
0.8050 0.1950 0.0448 Hf
0.8050 0.1950 0.4552 Hf
0.8050 0.6100 0.0448 Hf
0.8050 0.6100 0.4552 Hf
0.9185 0.4593 0.7500 Hf
0.0000 0.0000 0.0000 Mo
0.0000 0.0000 0.5000 Mo
0.1102 0.2204 0.2500 Mo
0.1102 0.8898 0.2500 Mo
0.2204 0.1102 0.7500 Mo
0.7796 0.8898 0.2500 Mo
0.8898 0.1102 0.7500 Mo
0.8898 0.7796 0.7500 Mo
0.3333 0.6667 0.7500 Se
0.6667 0.3333 0.2500 Se
```

## Properties
- space group = P6_3/mmc
- electronic total energy (eV per atom) = -10.00
- formation energy from the elements (kJ/mol of formula units) = -383

[4]
VASP calculation (GGA-PBE) on crystalline Hf15Mo11Se2 at its relaxed geometry.

Structure (POSCAR):
```
Hf15Mo11Se2
1.0
8.3499 0.0000 0.0000
-4.1750 7.2313 0.0000
0.0000 0.0000 9.0375
Hf Mo Se
15 11 2
direct
0.0628 0.5314 0.2024 Hf
0.0628 0.5314 0.7976 Hf
0.2040 0.4081 0.5000 Hf
0.2040 0.7960 0.5000 Hf
0.2603 0.1302 0.2886 Hf
0.2603 0.1302 0.7114 Hf
0.4686 0.5314 0.2024 Hf
0.4686 0.5314 0.7976 Hf
0.4686 0.9372 0.2024 Hf
0.4686 0.9372 0.7976 Hf
0.5919 0.7960 0.5000 Hf
0.8698 0.1302 0.2886 Hf
0.8698 0.1302 0.7114 Hf
0.8698 0.7397 0.2886 Hf
0.8698 0.7397 0.7114 Hf
0.1165 0.2330 0.0000 Mo
0.1165 0.8835 0.0000 Mo
0.4336 0.2168 0.0000 Mo
0.5589 0.1179 0.5000 Mo
0.5589 0.4411 0.5000 Mo
0.6667 0.3333 0.2406 Mo
0.6667 0.3333 0.7594 Mo
0.7670 0.8835 0.0000 Mo
0.7832 0.2168 0.0000 Mo
0.7832 0.5664 0.0000 Mo
0.8821 0.4411 0.5000 Mo
0.0000 0.0000 0.5000 Se
0.3333 0.6667 0.0000 Se
```

## Properties
- total magnetization (μB/f.u.) = 0.0
- space group = P-6m2
- electronic total energy (eV per atom) = -9.96
- formation energy from the elements (kJ/mol of formula units) = -399

[5]
VASP calculation (GGA-PBE) on crystalline Hf3SiMo8 at its relaxed geometry.

Structure (POSCAR):
```
Hf3SiMo8
1.0
5.3439 0.0000 0.0000
-2.6719 4.6279 0.0000
0.0000 0.0000 8.5556
Hf Si Mo
3 1 8
direct
0.0000 0.0000 0.0000 Hf
0.0000 0.0000 0.3805 Hf
0.6667 0.3333 0.8759 Hf
0.6667 0.3333 0.5029 Si
0.1624 0.3248 0.6841 Mo
0.1624 0.8376 0.6841 Mo
0.3333 0.6667 0.4368 Mo
0.3333 0.6667 0.9360 Mo
0.5041 0.0081 0.1915 Mo
0.5041 0.4959 0.1915 Mo
0.6752 0.8376 0.6841 Mo
0.9919 0.4959 0.1915 Mo
```

## Properties
- total magnetization (μB/f.u.) = 0.0
- space group = P3m1
- electronic total energy (eV per atom) = -10.17
- formation energy from the elements (kJ/mol of formula units) = 7

[6]
VASP calculation (GGA-PBE) on crystalline Hf9SiMo4 at its relaxed geometry.

Structure (POSCAR):
```
Hf9SiMo4
1.0
8.6482 0.0000 0.0000
-4.3241 7.4895 0.0000
0.0000 0.0000 8.7230
Hf Si Mo
18 2 8
direct
0.0737 0.5368 0.2500 Hf
0.1975 0.3949 0.5452 Hf
0.1975 0.3949 0.9548 Hf
0.1975 0.8025 0.5452 Hf
0.1975 0.8025 0.9548 Hf
0.3949 0.1975 0.0452 Hf
0.3949 0.1975 0.4548 Hf
0.4632 0.5368 0.2500 Hf
0.4632 0.9263 0.2500 Hf
0.5368 0.0737 0.7500 Hf
0.5368 0.4632 0.7500 Hf
0.6051 0.8025 0.5452 Hf
0.6051 0.8025 0.9548 Hf
0.8025 0.1975 0.0452 Hf
0.8025 0.1975 0.4548 Hf
0.8025 0.6051 0.0452 Hf
0.8025 0.6051 0.4548 Hf
0.9263 0.4632 0.7500 Hf
0.3333 0.6667 0.7500 Si
0.6667 0.3333 0.2500 Si
0.0000 0.0000 0.0000 Mo
0.0000 0.0000 0.5000 Mo
0.1102 0.2205 0.2500 Mo
0.1102 0.8898 0.2500 Mo
0.2205 0.1102 0.7500 Mo
0.7795 0.8898 0.2500 Mo
0.8898 0.1102 0.7500 Mo
0.8898 0.7795 0.7500 Mo
```

## Properties
- total magnetization (μB/f.u.) = 0.0
- space group = P6_3/mmc
- electronic total energy (eV per atom) = -10.11
- formation energy from the elements (kJ/mol of formula units) = -302

[7]
VASP calculation (GGA-PBE) on crystalline Hf2Si4Mo3 at its relaxed geometry.

Structure (POSCAR):
```
Hf2Si4Mo3
1.0
6.5841 0.0000 0.0000
0.0000 12.5967 0.0000
0.0000 0.0000 6.7627
Hf Si Mo
8 16 12
direct
0.0068 0.0926 0.1719 Hf
0.0068 0.4074 0.1719 Hf
0.4932 0.5926 0.6719 Hf
0.4932 0.9074 0.6719 Hf
0.5068 0.0926 0.3281 Hf
0.5068 0.4074 0.3281 Hf
0.9932 0.5926 0.8281 Hf
0.9932 0.9074 0.8281 Hf
0.0323 0.2500 0.8789 Si
0.1677 0.0431 0.5405 Si
0.1677 0.4569 0.5405 Si
0.1992 0.7500 0.6384 Si
0.3008 0.2500 0.1384 Si
0.3323 0.5431 0.0405 Si
0.3323 0.9569 0.0405 Si
0.4677 0.7500 0.3789 Si
0.5323 0.2500 0.6211 Si
0.6677 0.0431 0.9595 Si
0.6677 0.4569 0.9595 Si
0.6992 0.7500 0.8616 Si
0.8008 0.2500 0.3616 Si
0.8323 0.5431 0.4595 Si
0.8323 0.9569 0.4595 Si
0.9677 0.7500 0.1211 Si
0.1684 0.2500 0.4861 Mo
0.1691 0.6234 0.3352 Mo
0.1691 0.8766 0.3352 Mo
0.3309 0.1234 0.8352 Mo
0.3309 0.3766 0.8352 Mo
0.3316 0.7500 0.9861 Mo
0.6684 0.2500 0.0139 Mo
0.6691 0.6234 0.1648 Mo
0.6691 0.8766 0.1648 Mo
0.8309 0.1234 0.6648 Mo
0.8309 0.3766 0.6648 Mo
0.8316 0.7500 0.5139 Mo
```

## Properties
- space group = Pnma
- electronic total energy (eV per atom) = -8.91
- formation energy from the elements (kJ/mol of formula units) = -582

[8]
VASP calculation (GGA-PBE) on crystalline HfZrMo4 at its relaxed geometry.

Structure (POSCAR):
```
HfZrMo4
1.0
0.0000 3.8062 3.8062
3.8062 0.0000 3.8062
3.8062 3.8062 0.0000
Hf Zr Mo
1 1 4
direct
0.0000 0.0000 0.0000 Hf
0.2500 0.2500 0.2500 Zr
0.1250 0.6250 0.6250 Mo
0.6250 0.1250 0.6250 Mo
0.6250 0.6250 0.1250 Mo
0.6250 0.6250 0.6250 Mo
```

## Properties
- space group = F-43m
- electronic total energy (eV per atom) = -10.47
- formation energy from the elements (kJ/mol of formula units) = -90